[1]
An optimized crystal structure of Ho6ReO12, computed with r2SCAN.

The structure belongs to space group R-3 (No. 148, hexagonal axes); the cell edges are 9.7107, 9.7107 and 9.2370 Å and the angles 90.00°, 90.00° and 120.00°. Symmetry generates all atoms from Ho at (0.0414, 0.7875, 0.1435), Re at (0.0000, 0.0000, 0.5000), O at (0.0323, 0.8096, 0.8998) and O at (0.0378, 0.8520, 0.3889).

The value obtained for the magnetization is 3.00 μB/cell. The raw total energy comes out at -388.112 eV per formula unit. The calculation puts the density at 9.03 g/cm³.

---

[2]
An optimized crystal structure of Ho2S3O12, computed with r2SCAN.

The structure belongs to space group R-3c (No. 167, hexagonal axes); the cell edges are 9.1560, 9.1560 and 23.4428 Å and the angles 90.00°, 90.00° and 120.00°. Symmetry generates all atoms from Ho at (0.0000, 0.0000, 0.1427), S at (0.0000, 0.2845, 0.2500), O at (0.0262, 0.2060, 0.1995) and O at (0.0308, 0.2151, 0.9086).

The value obtained for the magnetization is 0.00 μB/cell. The raw total energy comes out at -201.639 eV per formula unit. The calculation puts the density at 3.62 g/cm³.

---

[3]
An optimized crystal structure of HoSbO4, computed with r2SCAN.

The structure belongs to space group P-1 (No. 2); the cell edges are 5.3209, 7.4536 and 7.5669 Å and the angles 81.16°, 88.07° and 89.66°. Symmetry generates all atoms from Ho at (0.2140, 0.3914, 0.3436), Ho at (0.2645, 0.8870, 0.3670), Sb at (0.2386, 0.3052, 0.8360), Sb at (0.2756, 0.8080, 0.8361), O at (0.0078, 0.8828, 0.6696), O at (0.0394, 0.3259, 0.6139), O at (0.0879, 0.8094, 0.0651), O at (0.1281, 0.5614, 0.8310), O at (0.3907, 0.0604, 0.8275), O at (0.4015, 0.3052, 0.0679), O at (0.4687, 0.6210, 0.3150) and O at (0.4912, 0.8235, 0.6115).

The value obtained for the magnetization is 0.00 μB/cell. The raw total energy comes out at -98.621 eV per formula unit. The calculation puts the density at 7.86 g/cm³.

---

[4]
An optimized crystal structure of HoSbO4, computed with r2SCAN.

The structure belongs to space group P2_1/c (No. 14); the cell edges are 7.5619, 5.3147 and 7.4556 Å and the angles 90.00°, 98.73° and 90.00°. Symmetry generates all atoms from Ho at (0.1444, 0.2256, 0.3889), Sb at (0.3365, 0.7311, 0.1928), O at (0.1131, 0.5235, 0.1748), O at (0.1771, 0.0111, 0.1187), O at (0.3293, 0.6180, 0.9385) and O at (0.4327, 0.0939, 0.8079).

The value obtained for the magnetization is 0.00 μB/cell. The raw total energy comes out at -98.619 eV per formula unit. The calculation puts the density at 7.87 g/cm³.

---

[5]
An optimized crystal structure of Ho3SbO7, computed with r2SCAN.

The structure belongs to space group C222_1 (No. 20); the cell edges are 7.3866, 10.4287 and 7.4168 Å and the angles 90.00°, 90.00° and 90.00°. Symmetry generates all atoms from Ho at (0.0018, 0.0000, 0.0000), Ho at (0.2340, 0.2656, 0.7505), Sb at (0.0000, 0.5000, 0.0000), O at (0.0000, 0.1300, 0.2500), O at (0.0000, 0.1373, 0.7500), O at (0.0000, 0.4302, 0.7500), O at (0.1964, 0.3749, 0.0312) and O at (0.1976, 0.3754, 0.4696).

The value obtained for the magnetization is 0.00 μB/cell. The raw total energy comes out at -202.571 eV per formula unit. The calculation puts the density at 8.47 g/cm³.

---

[6]
An optimized crystal structure of Ho2SbO2, computed with r2SCAN.

The structure belongs to space group Imm2 (No. 44); the cell edges are 3.8099, 13.1992 and 3.8130 Å and the angles 90.00°, 90.00° and 90.00°. Symmetry generates all atoms from Ho at (0.0000, 0.1664, 0.0000), Sb at (0.0000, 0.5000, 0.0030) and O at (0.0000, 0.2499, 0.5001).

The value obtained for the magnetization is 0.00 μB/cell. The raw total energy comes out at -118.562 eV per formula unit. The calculation puts the density at 8.38 g/cm³.

---

[7]
An optimized crystal structure of Ho2Se3O12, computed with r2SCAN.

The structure belongs to space group R-3c (No. 167, hexagonal axes); the cell edges are 9.5425, 9.5425 and 24.4343 Å and the angles 90.00°, 90.00° and 120.00°. Symmetry generates all atoms from Ho at (0.0000, 0.0000, 0.1432), Se at (0.0000, 0.2859, 0.2500), O at (0.0286, 0.2019, 0.9086) and O at (0.0290, 0.2025, 0.1957).

The value obtained for the magnetization is 0.00 μB/cell. The raw total energy comes out at -209.910 eV per formula unit. The calculation puts the density at 3.92 g/cm³.

---

[8]
An optimized crystal structure of Ho2SeO2, computed with r2SCAN.

The structure belongs to space group P-3m1 (No. 164); the cell edges are 3.8005, 3.8005 and 6.7589 Å and the angles 90.00°, 90.00° and 120.00°. Symmetry generates all atoms from Ho at (0.3333, 0.6667, 0.2916), Se at (0.0000, 0.0000, 0.0000) and O at (0.3333, 0.6667, 0.6255).

The value obtained for the magnetization is 0.00 μB/cell. The raw total energy comes out at -109.380 eV per formula unit. The calculation puts the density at 8.66 g/cm³.

---

[9]
An optimized crystal structure of Ho2SiO5, computed with r2SCAN.

The structure belongs to space group P2_1/c (No. 14); the cell edges are 9.0199, 6.8026 and 6.6501 Å and the angles 90.00°, 105.42° and 90.00°. Symmetry generates all atoms from Ho at (0.0283, 0.1245, 0.2315), Ho at (0.3725, 0.1389, 0.0537), Si at (0.2993, 0.5901, 0.0241), O at (0.1135, 0.1189, 0.9376), O at (0.1148, 0.6376, 0.9908), O at (0.2906, 0.0698, 0.3340), O at (0.3731, 0.0522, 0.7216) and O at (0.3962, 0.7149, 0.5175).

The value obtained for the magnetization is 0.00 μB/cell. The raw total energy comes out at -133.928 eV per formula unit. The calculation puts the density at 7.40 g/cm³.

---

[10]
An optimized crystal structure of Ho2Sn2O7, computed with r2SCAN.

The structure belongs to space group Fd-3m (No. 227, origin choice 2); the cell edges are 10.3678, 10.3678 and 10.3678 Å and the angles 90.00°, 90.00° and 90.00°. Symmetry generates all atoms from Ho at (0.0000, 0.0000, 0.0000), Sn at (0.0000, 0.0000, 0.5000), O at (0.0889, 0.3750, 0.8750) and O at (0.1250, 0.1250, 0.1250).

The value obtained for the magnetization is 0.00 μB/cell. The raw total energy comes out at -188.708 eV per formula unit. The calculation puts the density at 8.10 g/cm³.

---

[11]
An optimized crystal structure of HoTa3O9, computed with r2SCAN.

The structure belongs to space group P2_1/m (No. 11); the cell edges are 5.2369, 7.4382 and 8.2246 Å and the angles 90.00°, 92.47° and 90.00°. Symmetry generates all atoms from Ho at (0.0330, 0.2500, 0.4350), Ta at (0.0000, 0.0000, 0.0000), Ta at (0.4720, 0.0077, 0.6974), O at (0.1023, 0.2500, 0.9781), O at (0.1457, 0.5656, 0.7834), O at (0.2574, 0.5441, 0.4667), O at (0.3273, 0.5575, 0.1186), O at (0.3316, 0.2500, 0.6528) and O at (0.4203, 0.2500, 0.3130).

The value obtained for the magnetization is 0.00 μB/cell. The raw total energy comes out at -275.561 eV per formula unit. The calculation puts the density at 8.84 g/cm³.

---

[12]
An optimized crystal structure of Ho2Te4O11, computed with r2SCAN.

The structure belongs to space group C2/c (No. 15); the cell edges are 12.3289, 5.0975 and 16.0491 Å and the angles 90.00°, 105.73° and 90.00°. Symmetry generates all atoms from Ho at (0.1189, 0.2494, 0.0365), Te at (0.1223, 0.2193, 0.6988), Te at (0.1274, 0.2181, 0.3739), O at (0.0000, 0.3482, 0.7500), O at (0.0240, 0.0795, 0.5957), O at (0.0704, 0.3916, 0.4556), O at (0.1468, 0.4432, 0.1668), O at (0.2075, 0.0460, 0.9467) and O at (0.2468, 0.0645, 0.6265).

The value obtained for the magnetization is 0.00 μB/cell. The raw total energy comes out at -267.885 eV per formula unit. The calculation puts the density at 6.95 g/cm³.